# TlCoO3

Crystalline TlCoO3 at its relaxed geometry (PBE+U, Materials Project).

## Properties
symmetry	No. 148
M_tot	0.00	μB per atom
mass density	8.8	g/cm³
formation enthalpy at 0 K	-1.105	eV/atom

POSCAR file:
```
TlCoO3
1.0
5.1624 -2.6145 0.0000
5.1624 2.6145 0.0000
3.8383 0.0000 4.3306
Tl Co O
2 2 6
direct
0.8734 0.8734 0.8734
0.1267 0.1267 0.1267
0.6608 0.6608 0.6608
0.3392 0.3392 0.3392
0.3098 0.5297 0.9443
0.9443 0.3098 0.5297
0.5297 0.9443 0.3098
0.4703 0.0557 0.6902
0.0557 0.6902 0.4703
0.6902 0.4703 0.0557
```